Entry 1:
KLiMg6O7 | PBE | relaxed

a = 8.1974 Å, b = 4.5806 Å, c = 4.5806 Å
α = 90.00°, β = 90.00°, γ = 90.00°
Fractional positions:
O (0.7364, 0.0000, 0.0000)
O (0.0110, 0.0000, 0.5000)
O (0.0110, 0.5000, 0.0000)
O (0.2483, 0.5000, 0.5000)
O (0.4846, 0.5000, 0.0000)
O (0.4846, 0.0000, 0.5000)
O (0.7472, 0.5000, 0.5000)
Mg (0.9961, 0.5000, 0.5000)
Mg (0.2501, 0.0000, 0.5000)
Mg (0.7457, 0.5000, 0.0000)
Mg (0.7457, 0.0000, 0.5000)
Mg (0.2501, 0.5000, 0.0000)
Mg (0.4990, 0.5000, 0.5000)
K (0.0230, 0.0000, 0.0000)
Li (0.5173, 0.0000, 0.0000)

- Total DFT energy (no corrections): -5.205 eV per atom
- Formation enthalpy at 0 K: -2375.3 meV/atom
- Total moment: 0.00 μB/atom
- Symmetry: P4mm (99)

Entry 2:
KLiMg14O15 | PBE | relaxed

a = 8.7149 Å, b = 8.5875 Å, c = 4.4020 Å
α = 90.00°, β = 90.00°, γ = 90.00°
Fractional positions:
O (0.2715, 0.0000, 0.0000)
O (0.7192, 0.0000, 0.0000)
O (0.7476, 0.5000, 0.0000)
O (0.0308, 0.2833, 0.0000)
O (0.7510, 0.2514, 0.5000)
O (0.2545, 0.2594, 0.5000)
O (0.0308, 0.7167, 0.0000)
O (0.4961, 0.0000, 0.5000)
O (0.4896, 0.5000, 0.5000)
O (0.0075, 0.5000, 0.5000)
O (0.7510, 0.7486, 0.5000)
O (0.4917, 0.7445, 0.0000)
O (0.0158, 0.0000, 0.5000)
O (0.4917, 0.2555, 0.0000)
O (0.2545, 0.7406, 0.5000)
Mg (0.4970, 0.0000, 0.0000)
Mg (0.9750, 0.5000, 0.0000)
Mg (0.7394, 0.5000, 0.5000)
Mg (0.7303, 0.7488, 0.0000)
Mg (0.7427, 0.0000, 0.5000)
Mg (0.2563, 0.7714, 0.0000)
Mg (0.4954, 0.7439, 0.5000)
Mg (0.0077, 0.2528, 0.5000)
Mg (0.2563, 0.2286, 0.0000)
Mg (0.4954, 0.2561, 0.5000)
Mg (0.2516, 0.0000, 0.5000)
Mg (0.2519, 0.5000, 0.5000)
Mg (0.7303, 0.2512, 0.0000)
Mg (0.0077, 0.7472, 0.5000)
Li (0.5224, 0.5000, 0.0000)
K (0.9872, 0.0000, 0.0000)

- Total DFT energy (no corrections): -5.617 eV per atom
- Formation enthalpy at 0 K: -2735.2 meV/atom
- Symmetry: Pmm2 (25)

Entry 3:
KLiMg14O15 | PBE | relaxed

a = 8.6315 Å, b = 8.6026 Å, c = 4.4110 Å
α = 90.00°, β = 90.00°, γ = 90.00°
Fractional positions:
Mg (0.7583, 0.2541, 0.0000)
Mg (0.7665, 0.5000, 0.5000)
Mg (0.4995, 0.0000, 0.0000)
Mg (0.0047, 0.2584, 0.5000)
Mg (0.7583, 0.7459, 0.0000)
Mg (0.4982, 0.7480, 0.5000)
Mg (0.2490, 0.0000, 0.5000)
Mg (0.4982, 0.2520, 0.5000)
Mg (0.2450, 0.2287, 0.0000)
Mg (0.2450, 0.7713, 0.0000)
Mg (0.0047, 0.7416, 0.5000)
Mg (0.2381, 0.5000, 0.5000)
Mg (0.5200, 0.5000, 0.0000)
Mg (0.7493, 0.0000, 0.5000)
O (0.0159, 0.7186, 0.0000)
O (0.7459, 0.5000, 0.0000)
O (0.2736, 0.0000, 0.0000)
O (0.0090, 0.0000, 0.5000)
O (0.7501, 0.7471, 0.5000)
O (0.2519, 0.7423, 0.5000)
O (0.0159, 0.2814, 0.0000)
O (0.7216, 0.0000, 0.0000)
O (0.4871, 0.7348, 0.0000)
O (0.4968, 0.0000, 0.5000)
O (0.7501, 0.2529, 0.5000)
O (0.2519, 0.2577, 0.5000)
O (0.0068, 0.5000, 0.5000)
O (0.4837, 0.5000, 0.5000)
O (0.4871, 0.2652, 0.0000)
Li (0.9761, 0.5000, 0.0000)
K (0.9917, 0.0000, 0.0000)

- Total DFT energy (no corrections): -5.601 eV per atom
- Formation enthalpy at 0 K: -2719.4 meV/atom
- Total moment: 0.00 μB/atom
- Symmetry: Pmm2 (25)

Entry 4:
KLiMg6O7 | PBE | relaxed

a = 8.7723 Å, b = 4.4697 Å, c = 4.4697 Å
α = 90.00°, β = 90.00°, γ = 90.00°
Fractional positions:
O (0.4835, 0.5000, 0.0000)
O (0.7488, 0.5000, 0.5000)
O (0.2707, 0.0000, 0.0000)
O (0.4835, 0.0000, 0.5000)
O (0.0196, 0.5000, 0.0000)
O (0.0196, 0.0000, 0.5000)
O (0.7189, 0.0000, 0.0000)
K (0.9912, 0.0000, 0.0000)
Mg (0.7627, 0.5000, 0.0000)
Mg (0.7627, 0.0000, 0.5000)
Mg (0.4950, 0.0000, 0.0000)
Mg (0.2437, 0.0000, 0.5000)
Mg (0.5226, 0.5000, 0.5000)
Mg (0.2437, 0.5000, 0.0000)
Li (0.9839, 0.5000, 0.5000)

- Total DFT energy (no corrections): -5.123 eV per atom
- Formation enthalpy at 0 K: -2293.0 meV/atom
- Total moment: 0.01 μB/atom
- Symmetry: P4mm (99)

Entry 5:
KLiMg14O15 | PBE | relaxed

a = 8.3881 Å, b = 8.7995 Å, c = 4.3738 Å
α = 90.00°, β = 90.00°, γ = 90.00°
Fractional positions:
O (0.7446, 0.5000, 0.0000)
O (0.4925, 0.5000, 0.5000)
O (0.7452, 0.7514, 0.5000)
O (0.2454, 0.2384, 0.5000)
O (0.4830, 0.2266, 0.0000)
O (0.2486, 0.5000, 0.0000)
O (0.4830, 0.7734, 0.0000)
O (0.0028, 0.7289, 0.0000)
O (0.7452, 0.2486, 0.5000)
O (0.4878, 0.0000, 0.5000)
O (0.0031, 0.0000, 0.5000)
O (0.7513, 0.0000, 0.0000)
O (0.2454, 0.7616, 0.5000)
O (0.0001, 0.5000, 0.5000)
O (0.0028, 0.2711, 0.0000)
Mg (0.4974, 0.2527, 0.5000)
Mg (0.7515, 0.2508, 0.0000)
Mg (0.7515, 0.7492, 0.0000)
Mg (0.7624, 0.0000, 0.5000)
Mg (0.7384, 0.5000, 0.5000)
Mg (0.4974, 0.7473, 0.5000)
Mg (0.2500, 0.2826, 0.0000)
Mg (0.9901, 0.5000, 0.0000)
Mg (0.2514, 0.5000, 0.5000)
Mg (0.2500, 0.7174, 0.0000)
Mg (0.9944, 0.7451, 0.5000)
Mg (0.9944, 0.2549, 0.5000)
Mg (0.2507, 0.0000, 0.5000)
Mg (0.5222, 0.0000, 0.0000)
Li (0.5050, 0.5000, 0.0000)
K (0.0625, 0.0000, 0.0000)

- Total DFT energy (no corrections): -5.626 eV per atom
- Formation enthalpy at 0 K: -2744.6 meV/atom
- Total moment: 0.00 μB/atom
- Symmetry: Pmm2 (25)

Entry 6:
K3Na2LiTeO6 | PBE | relaxed

a = 7.6422 Å, b = 7.6422 Å, c = 6.8872 Å
α = 87.70°, β = 87.70°, γ = 104.03°
Fractional positions:
Na (0.0737, 0.6100, 0.1018)
Na (0.8605, 0.4291, 0.4045)
Na (0.6100, 0.0737, 0.6018)
Na (0.4291, 0.8605, 0.9045)
O (0.4878, 0.1638, 0.0038)
O (0.7663, 0.3455, 0.7270)
O (0.1638, 0.4878, 0.5038)
O (0.7441, 0.1426, 0.2735)
O (0.7661, 0.0071, 0.8999)
O (0.0071, 0.7661, 0.3999)
O (0.7451, 0.4802, 0.0974)
O (0.1426, 0.7441, 0.7735)
O (0.4802, 0.7451, 0.5974)
O (0.0275, 0.3220, 0.9858)
O (0.3455, 0.7663, 0.2270)
O (0.3220, 0.0275, 0.4858)
K (0.7827, 0.7031, 0.7543)
K (0.7031, 0.7827, 0.2543)
K (0.1079, 0.0141, 0.0738)
K (0.4012, 0.3826, 0.7396)
K (0.0141, 0.1079, 0.5738)
K (0.3826, 0.4012, 0.2396)
Te (0.2432, 0.7571, 0.5000)
Te (0.7571, 0.2432, 0.0000)
Li (0.4739, 0.0297, 0.2508)
Li (0.0297, 0.4739, 0.7508)

- Total DFT energy (no corrections): -4.654 eV per atom
- Formation enthalpy at 0 K: -1839.5 meV/atom
- Total moment: 0.00 μB/atom
- Symmetry: Cc (9)

Entry 7:
K2LiNd4Nb2O12 | PBE | relaxed

a = 5.7668 Å, b = 7.0440 Å, c = 8.7254 Å
α = 101.30°, β = 90.01°, γ = 114.12°
Fractional positions:
O (0.1883, 0.8733, 0.2949)
O (0.6859, 0.3721, 0.4854)
O (0.5433, 0.5435, 0.8268)
O (0.7584, 0.0017, 0.9911)
O (0.6847, 0.8721, 0.2947)
O (0.0003, 0.5433, 0.8265)
O (0.2435, 0.0015, 0.9909)
O (0.3285, 0.6574, 0.5121)
O (0.3276, 0.1237, 0.7090)
O (0.4600, 0.4402, 0.1846)
O (0.7959, 0.1233, 0.7089)
O (0.9790, 0.4414, 0.1844)
Nd (0.1419, 0.2841, 0.9357)
Nd (0.8714, 0.7420, 0.0540)
Nd (0.4155, 0.8305, 0.7980)
Nd (0.5582, 0.1166, 0.1919)
K (0.1145, 0.2293, 0.4586)
K (0.9088, 0.8168, 0.5753)
Nb (0.6672, 0.3344, 0.6953)
Nb (0.3285, 0.6577, 0.2947)
Li (0.7695, 0.5414, 0.3230)

- Total DFT energy (no corrections): -7.636 eV per atom
- Formation enthalpy at 0 K: -3134.4 meV/atom
- Total moment: 0.02 μB/atom
- Symmetry: P1 (1)

Entry 8:
K2LiNd4Nb2O12 | PBE | relaxed

a = 5.7641 Å, b = 7.0579 Å, c = 9.0209 Å
α = 105.86°, β = 90.02°, γ = 114.01°
Fractional positions:
Nd (0.1324, 0.2626, 0.9227)
Nd (0.4127, 0.8252, 0.7962)
Nd (0.8850, 0.7711, 0.0694)
Nd (0.5732, 0.1486, 0.2265)
O (0.7783, 0.0945, 0.7130)
O (0.6764, 0.3521, 0.4982)
O (0.3195, 0.6384, 0.4886)
O (0.3165, 0.0946, 0.7127)
O (0.2120, 0.8968, 0.2875)
O (0.2657, 0.0141, 0.0020)
O (0.9993, 0.5327, 0.8366)
O (0.7479, 0.0156, 0.0023)
O (0.4804, 0.4645, 0.1489)
O (0.9865, 0.4646, 0.1495)
O (0.5326, 0.5334, 0.8358)
O (0.6845, 0.8970, 0.2874)
K (0.8834, 0.7667, 0.5103)
K (0.1157, 0.2325, 0.4912)
Nb (0.3306, 0.6605, 0.2869)
Nb (0.6602, 0.3205, 0.6982)
Li (0.6636, 0.3198, 0.0075)

- Total DFT energy (no corrections): -7.605 eV per atom
- Formation enthalpy at 0 K: -3102.8 meV/atom
- Total moment: 0.05 μB/atom
- Symmetry: P1 (1)

Entry 9:
K2LiNd4Nb2O12 | PBE | relaxed

a = 5.7754 Å, b = 7.1097 Å, c = 8.9395 Å
α = 105.40°, β = 89.86°, γ = 113.96°
Fractional positions:
O (0.3164, 0.0962, 0.7186)
O (0.6632, 0.3253, 0.5024)
O (0.5318, 0.5276, 0.8337)
O (0.7829, 0.0956, 0.7167)
O (0.2459, 0.0037, 0.9991)
O (0.4699, 0.4624, 0.1911)
O (0.7581, 0.0041, 0.9986)
O (0.9973, 0.5271, 0.8337)
O (0.2122, 0.9101, 0.2923)
O (0.6960, 0.9097, 0.2914)
O (0.9919, 0.4625, 0.1913)
O (0.3343, 0.6697, 0.5032)
Nd (0.8727, 0.7457, 0.0633)
Nd (0.5817, 0.1640, 0.1953)
Nd (0.4108, 0.8204, 0.8017)
Nd (0.1440, 0.2873, 0.9602)
Nb (0.3501, 0.7018, 0.2962)
Nb (0.6590, 0.3154, 0.7084)
K (0.8426, 0.6889, 0.4671)
K (0.1307, 0.2645, 0.4080)
Li (0.0396, 0.0734, 0.6204)

- Total DFT energy (no corrections): -7.605 eV per atom
- Formation enthalpy at 0 K: -3103.0 meV/atom
- Total moment: 0.00 μB/atom
- Symmetry: P1 (1)

Entry 10:
K2LiNd4Nb2O12 | PBE | relaxed

a = 5.7860 Å, b = 6.9946 Å, c = 8.8607 Å
α = 102.77°, β = 90.00°, γ = 114.43°
Fractional positions:
O (0.3366, 0.6732, 0.5006)
O (0.0081, 0.5384, 0.8367)
O (0.7533, 0.0000, 0.0000)
O (0.2467, 0.0000, 0.0000)
O (0.6816, 0.9007, 0.2987)
O (0.5303, 0.5384, 0.8367)
O (0.4697, 0.4616, 0.1633)
O (0.9919, 0.4616, 0.1633)
O (0.7810, 0.0993, 0.7013)
O (0.3184, 0.0993, 0.7013)
O (0.6634, 0.3268, 0.4994)
O (0.2190, 0.9007, 0.2987)
Nd (0.1269, 0.2537, 0.9200)
Nd (0.8731, 0.7463, 0.0800)
Nd (0.4177, 0.8354, 0.8042)
Nd (0.5823, 0.1646, 0.1958)
Nb (0.6729, 0.3458, 0.7192)
Nb (0.3271, 0.6542, 0.2808)
K (0.8797, 0.7593, 0.5197)
K (0.1203, 0.2407, 0.4803)
Li (0.5000, 0.0000, 0.5000)

- Total DFT energy (no corrections): -7.684 eV per atom
- Formation enthalpy at 0 K: -3181.8 meV/atom
- Total moment: 0.00 μB/atom
- Symmetry: C2/m (12)

Entry 11:
K2LiNd4Nb2O12 | PBE | relaxed

a = 5.7818 Å, b = 6.9320 Å, c = 8.9979 Å
α = 104.34°, β = 89.99°, γ = 114.65°
Fractional positions:
Li (0.9080, 0.8167, 0.8270)
O (0.2182, 0.9087, 0.2907)
O (0.4716, 0.4668, 0.1740)
O (0.3042, 0.0931, 0.7084)
O (0.7889, 0.0932, 0.7085)
O (0.2312, 0.9931, 0.9897)
O (0.6904, 0.9087, 0.2907)
O (0.5475, 0.5460, 0.8172)
O (0.9952, 0.4667, 0.1740)
O (0.3287, 0.6573, 0.4966)
O (0.7616, 0.9930, 0.9896)
O (0.9980, 0.5461, 0.8174)
O (0.6673, 0.3343, 0.4961)
Nb (0.6534, 0.3068, 0.6979)
Nb (0.3418, 0.6836, 0.2941)
Nd (0.4119, 0.8241, 0.7960)
Nd (0.8669, 0.7338, 0.0933)
Nd (0.1450, 0.2900, 0.9343)
Nd (0.5815, 0.1631, 0.1873)
K (0.8764, 0.7528, 0.5018)
K (0.1185, 0.2369, 0.4797)

- Total DFT energy (no corrections): -7.634 eV per atom
- Formation enthalpy at 0 K: -3132.5 meV/atom
- Total moment: 0.00 μB/atom
- Symmetry: Cm (8)

Entry 12:
K2LiNd4Nb2O12 | PBE | relaxed

a = 5.8297 Å, b = 7.0975 Å, c = 8.8008 Å
α = 103.95°, β = 89.47°, γ = 114.72°
Fractional positions:
O (0.2500, 0.9977, 0.9917)
O (0.3529, 0.6455, 0.4996)
O (0.9889, 0.4680, 0.1633)
O (0.3293, 0.1061, 0.7114)
O (0.2075, 0.9082, 0.2898)
O (0.7958, 0.1134, 0.7100)
O (0.6833, 0.3581, 0.4959)
O (0.4513, 0.4392, 0.1988)
O (0.7600, 0.9995, 0.9897)
O (0.5375, 0.5297, 0.8379)
O (0.6763, 0.8970, 0.2843)
O (0.0047, 0.5416, 0.8250)
Li (0.5264, 0.4898, 0.4126)
Nb (0.3217, 0.6856, 0.2858)
Nb (0.6678, 0.3253, 0.7044)
Nd (0.8695, 0.7448, 0.0656)
Nd (0.1461, 0.2739, 0.9382)
Nd (0.4200, 0.8238, 0.7948)
Nd (0.5836, 0.1557, 0.1874)
K (0.0756, 0.2204, 0.4659)
K (0.9351, 0.8045, 0.5479)

- Total DFT energy (no corrections): -7.640 eV per atom
- Formation enthalpy at 0 K: -3138.2 meV/atom
- Total moment: 0.05 μB/atom
- Symmetry: P1 (1)